Compound: UTi
Source: Materials Project
Functional: GGA-PBE
Structure: relaxed

Cell: 2.890 2.890 5.045 Å, 90.00 90.00 117.13°
Atoms (fractional coordinates):
1 U 0.000 0.000 0.000
2 Ti 0.500 0.500 0.500

Output
For the uncorrected energy, the calculation gives -9.4513 eV/atom. As for the space group: Cmmm (65). The formation enthalpy at 0 K comes out at 0.142 eV per atom. The distance to the lowest polymorph of the same formula is 0.000 eV/atom.